Density functional theory data (GGA+U) for a relaxed structure of Na2VOF4.

Lattice parameters (Å, degrees): 6.8519 8.2958 8.2958 78.16 77.09 77.09
Atoms (fractional coordinates):
Na  0.6251  0.0002  0.7940
Na  0.1251  0.7940  0.0002
Na  0.3749  0.9998  0.2060
Na  0.8749  0.2060  0.9998
Na  0.9668  0.5686  0.7621
Na  0.4668  0.7621  0.5686
Na  0.0332  0.4314  0.2379
Na  0.5332  0.2379  0.4314
V  0.9172  0.8715  0.3992
V  0.0828  0.1285  0.6008
V  0.5828  0.6008  0.1285
V  0.4172  0.3992  0.8715
O  0.0118  0.3159  0.6551
O  0.5118  0.6551  0.3159
O  0.4882  0.3449  0.6841
O  0.9882  0.6841  0.3449
F  0.2726  0.6276  0.7963
F  0.2274  0.2037  0.3724
F  0.7274  0.3724  0.2037
F  0.7726  0.7963  0.6276
F  0.6508  0.9638  0.3426
F  0.8492  0.6574  0.0362
F  0.1508  0.3426  0.9638
F  0.3492  0.0362  0.6574
F  0.9621  0.0030  0.8151
F  0.0379  0.9970  0.1849
F  0.4621  0.8151  0.0030
F  0.5379  0.1849  0.9970
F  0.1557  0.8882  0.4915
F  0.8443  0.1118  0.5085
F  0.6557  0.4915  0.8882
F  0.3443  0.5085  0.1118

Computed properties:
total magnetic moment = 0.00 μB per atom
E_form = -2.96 eV per atom
symmetry = C2/c
calculated total energy = -175.216 eV per cell